MgSnF5 | PBE-GGA | optimized geometry

Calculated values
E (MP2020) = -5.2137 eV per atom
excess energy over the best structure of this formula in the dataset = 0.00 eV/f.u.
DFT formation energy = -3045 meV/atom
crystal system = monoclinic

a b c (Å): 10.309 5.364 8.062
angles (deg): 73.04 90.00 90.00
Fractional coordinates of all 28 atoms:
1 Mg 0.007 0.512 0.789
2 F 0.596 0.356 0.507
3 F 0.641 0.755 0.675
4 F 0.859 0.755 0.175
5 F 0.404 0.644 0.493
6 F 0.096 0.644 0.993
7 F 0.179 0.818 0.661
8 F 0.359 0.245 0.325
9 Sn 0.238 0.905 0.388
10 F 0.399 0.614 0.873
11 F 0.899 0.386 0.627
12 F 0.414 0.158 0.783
13 Mg 0.507 0.488 0.711
14 F 0.679 0.182 0.839
15 F 0.101 0.614 0.373
16 Mg 0.993 0.488 0.211
17 F 0.586 0.842 0.217
18 Sn 0.262 0.905 0.888
19 F 0.141 0.245 0.825
20 F 0.086 0.158 0.283
21 F 0.914 0.842 0.717
22 F 0.821 0.182 0.339
23 F 0.601 0.386 0.127
24 Sn 0.762 0.095 0.612
25 Sn 0.738 0.095 0.112
26 F 0.321 0.818 0.161
27 F 0.904 0.356 0.007
28 Mg 0.493 0.512 0.289